Here is an optimized crystal structure of Ce2Ni5C3 from Materials Project. Energies are from PBE.

DFT total energy in eV/atom: -7.129
Crystal system: tetragonal
Energy of formation in eV per formula unit: -2.8

```
20
Lattice="-7.400 -0.343 3.813 3.376 -4.500 6.147 0.842 3.264 1.927" Properties=species:S:1:pos:R:3 pbc="T T T"
Ce 0.315 -3.902 6.470
Ce -4.340 -0.941 3.490
Ce -0.025 -1.589 2.702
Ce -4.000 -3.253 7.257
Ni -1.442 -1.772 7.542
Ni -1.741 0.193 4.345
Ni -5.695 0.359 5.790
Ni 2.512 -1.938 6.096
Ni -3.423 -0.517 6.282
Ni 0.240 -1.062 5.604
Ni -0.893 1.214 2.245
Ni -2.290 -2.793 9.642
Ni -2.012 -2.421 4.980
Ni 0.000 0.000 0.000
C -1.591 -0.790 5.943
C 0.421 1.632 0.963
C 1.875 -0.899 4.615
C -5.058 -0.680 7.272
C -2.653 1.219 3.006
C -0.529 -2.798 8.881
```